DFT (GGA-PBE) results for crystalline EuMgO3 at its relaxed geometry.

E: -7.470 eV/atom
Energy relative to the elements: -2542 meV per atom
Calculated density: 6.17 g cm⁻³
Volume: 60.4 Å³ per cell
Symmetry: No. 221

```
EuMgO3
1.0
3.923 0.000 0.000
0.000 3.923 0.000
0.000 0.000 3.923
Eu Mg O
1 1 3
direct
0.000 0.000 0.000
0.500 0.500 0.500
0.000 0.500 0.500
0.500 0.000 0.500
0.500 0.500 0.000
```

DFT (GGA-PBE) results for crystalline EuMgRe2O8 at its relaxed geometry.

E: -8.241 eV/atom
Energy relative to the elements: -2338 meV per atom
Calculated density: 5.74 g cm⁻³
Volume: 195.8 Å³ per cell
Symmetry: No. 164

```
EuMgRe2O8
1.0
5.972 0.000 0.000
-2.986 5.172 0.000
0.000 0.000 6.340
Eu Mg Re O
1 1 2 8
direct
0.000 0.000 0.000
0.000 0.000 0.500
0.333 0.667 0.360
0.667 0.333 0.640
0.162 0.324 0.282
0.162 0.838 0.282
0.324 0.162 0.718
0.333 0.667 0.636
0.667 0.333 0.364
0.676 0.838 0.282
0.838 0.162 0.718
0.838 0.676 0.718
```

DFT (GGA-PBE) results for crystalline Eu2MgSi2O7 at its relaxed geometry.

E: -8.582 eV/atom
Energy relative to the elements: -3350 meV per atom
Calculated density: 4.86 g cm⁻³
Volume: 339.3 Å³ per cell
Symmetry: No. 113

```
Eu2MgSi2O7
1.0
8.064 0.000 0.000
0.000 8.064 0.000
0.000 0.000 5.218
Eu Mg Si O
4 2 4 14
direct
0.165 0.335 0.009
0.335 0.835 0.991
0.665 0.165 0.991
0.835 0.665 0.009
0.000 0.000 0.500
0.500 0.500 0.500
0.139 0.639 0.558
0.361 0.139 0.442
0.639 0.861 0.442
0.861 0.361 0.558
0.000 0.500 0.665
0.079 0.811 0.702
0.142 0.642 0.248
0.189 0.079 0.298
0.311 0.579 0.702
0.358 0.142 0.752
0.421 0.311 0.298
0.500 0.000 0.335
0.579 0.689 0.298
0.642 0.858 0.752
0.689 0.421 0.702
0.811 0.921 0.298
0.858 0.358 0.248
0.921 0.189 0.702
```

DFT (GGA-PBE) results for crystalline EuMgTiO3 at its relaxed geometry.

E: -7.905 eV/atom
Energy relative to the elements: -2482 meV per atom
Calculated density: 5.63 g cm⁻³
Volume: 80.3 Å³ per cell
Symmetry: No. 160

```
EuMgTiO3
1.0
2.835 1.637 2.885
-2.835 1.637 2.885
0.000 -3.274 2.885
Eu Mg Ti O
1 1 1 3
direct
0.000 0.000 0.000
0.343 0.343 0.343
0.651 0.651 0.651
0.134 0.634 0.634
0.634 0.134 0.634
0.634 0.634 0.134
```

DFT (GGA-PBE) results for crystalline Eu2MgTiO4 at its relaxed geometry.

E: -8.707 eV/atom
Energy relative to the elements: -2825 meV per atom
Calculated density: 5.86 g cm⁻³
Volume: 249.2 Å³ per cell
Symmetry: No. 8

```
Eu2MgTiO4
1.0
16.175 0.000 0.000
0.000 3.886 0.000
-0.002 0.000 3.965
Eu Mg Ti O
4 2 2 8
direct
0.000 0.000 0.000
0.227 0.000 0.996
0.500 0.500 0.000
0.727 0.500 0.996
0.393 0.000 0.500
0.893 0.500 0.500
0.120 0.500 0.499
0.620 0.000 0.499
0.106 0.500 0.001
0.109 0.000 0.499
0.237 0.500 0.507
0.373 0.000 0.000
0.606 0.000 0.001
0.609 0.500 0.499
0.737 0.000 0.507
0.873 0.500 0.000
```

DFT (GGA-PBE) results for crystalline EuMg2P2 at its relaxed geometry.

E: -5.834 eV/atom
Energy relative to the elements: -977 meV per atom
Calculated density: 3.73 g cm⁻³
Volume: 116.8 Å³ per cell
Symmetry: No. 164

```
EuMg2P2
1.0
4.329 0.000 0.000
-2.165 3.749 0.000
0.000 0.000 7.193
Eu Mg P
1 2 2
direct
0.000 0.000 0.000
0.333 0.667 0.632
0.667 0.333 0.368
0.333 0.667 0.259
0.667 0.333 0.741
```

DFT (GGA-PBE) results for crystalline EuMgPb at its relaxed geometry.

E: -5.644 eV/atom
Energy relative to the elements: -454 meV per atom
Calculated density: 7.03 g cm⁻³
Volume: 362.2 Å³ per cell
Symmetry: No. 62

```
EuMgPb
1.0
8.140 0.000 0.000
0.000 4.936 0.000
0.000 0.000 9.016
Eu Mg Pb
4 4 4
direct
0.019 0.250 0.185
0.481 0.750 0.685
0.519 0.250 0.315
0.981 0.750 0.815
0.153 0.250 0.566
0.347 0.750 0.066
0.653 0.250 0.934
0.847 0.750 0.434
0.229 0.750 0.387
0.271 0.250 0.887
0.729 0.750 0.113
0.771 0.250 0.613
```

DFT (GGA-PBE) results for crystalline Eu3Mg5Si5 at its relaxed geometry.

E: -5.479 eV/atom
Energy relative to the elements: -383 meV per atom
Calculated density: 4.13 g cm⁻³
Volume: 1155.3 Å³ per cell
Symmetry: No. 62

```
Eu3Mg5Si5
1.0
14.225 0.000 0.000
0.000 4.478 0.000
0.000 0.000 18.136
Eu Mg Si
12 20 20
direct
0.088 0.250 0.153
0.137 0.750 0.692
0.208 0.750 0.484
0.292 0.250 0.984
0.363 0.250 0.192
0.412 0.750 0.653
0.588 0.250 0.347
0.637 0.750 0.808
0.708 0.750 0.016
0.792 0.250 0.516
0.863 0.250 0.308
0.912 0.750 0.847
0.022 0.250 0.439
0.035 0.750 0.311
0.053 0.250 0.957
0.165 0.750 0.871
0.233 0.750 0.271
0.267 0.250 0.771
0.335 0.250 0.371
0.447 0.750 0.457
0.465 0.250 0.811
0.478 0.750 0.939
0.522 0.250 0.061
0.535 0.750 0.189
0.553 0.250 0.543
0.665 0.750 0.629
0.733 0.750 0.229
0.767 0.250 0.729
0.835 0.250 0.129
0.947 0.750 0.043
0.965 0.250 0.689
0.978 0.750 0.561
0.081 0.250 0.810
0.092 0.250 0.575
0.134 0.750 0.018
0.148 0.250 0.326
0.246 0.750 0.116
0.254 0.250 0.616
0.352 0.750 0.826
0.366 0.250 0.518
0.408 0.750 0.075
0.419 0.750 0.310
0.581 0.250 0.690
0.592 0.250 0.925
0.634 0.750 0.482
0.648 0.250 0.174
0.746 0.750 0.384
0.754 0.250 0.884
0.852 0.750 0.674
0.866 0.250 0.982
0.908 0.750 0.425
0.919 0.750 0.190
```

- What is the volume in the sixth record?
  116.8 Å³ per cell

- Which of these has the highest E?
  Eu3Mg5Si5